Version w
An optimized crystal structure of MgMn2O4. Source: the Materials Project database, functional PBE+U.

Cell: 3.158 3.185 10.033 Å, 81.77 81.37 62.39°
Sites, in units of the cell vectors:
Mg (0.000, 0.000, 0.000)
Mn (0.448, 0.442, 0.721)
Mn (0.562, 0.585, 0.305)
O (0.202, 0.234, 0.391)
O (0.361, 0.363, 0.934)
O (0.803, 0.801, 0.675)
O (0.922, 0.930, 0.202)

Values from the calculation:
- V: 12.6 Å³ per atom

---

Version x
An optimized crystal structure of MgMn2O4. Source: the Materials Project database, functional PBE+U.

Cell: 5.773 5.773 10.902 Å, 90.31 90.31 59.15°
Sites, in units of the cell vectors:
Mg (0.000, 0.500, 0.500)
Mg (0.012, 0.988, 0.750)
Mg (0.500, 0.000, 0.000)
Mg (0.988, 0.012, 0.250)
Mn (0.224, 0.720, 0.018)
Mn (0.269, 0.286, 0.764)
Mn (0.280, 0.776, 0.482)
Mn (0.286, 0.269, 0.264)
Mn (0.714, 0.731, 0.736)
Mn (0.720, 0.224, 0.518)
Mn (0.731, 0.714, 0.236)
Mn (0.776, 0.280, 0.982)
O (0.079, 0.622, 0.672)
O (0.086, 0.114, 0.579)
O (0.096, 0.622, 0.183)
O (0.114, 0.086, 0.079)
O (0.374, 0.403, 0.434)
O (0.378, 0.904, 0.317)
O (0.378, 0.921, 0.828)
O (0.403, 0.374, 0.934)
O (0.597, 0.626, 0.066)
O (0.622, 0.079, 0.172)
O (0.622, 0.096, 0.683)
O (0.626, 0.597, 0.566)
O (0.886, 0.914, 0.921)
O (0.904, 0.378, 0.817)
O (0.914, 0.886, 0.421)
O (0.921, 0.378, 0.328)

Values from the calculation:
- V: 11.1 Å³ per atom

---

Most stable one: version x, least stable one: version w.

---

Version w
An optimized crystal structure of HoCrTeO6. Source: the Materials Project database, functional PBE+U.

Cell: 5.196 5.196 9.731 Å, 90.00 90.00 120.00°
Sites, in units of the cell vectors:
Ho (0.000, 0.000, 0.000)
Ho (0.000, 0.000, 0.500)
Cr (0.333, 0.667, 0.250)
Cr (0.667, 0.333, 0.750)
Te (0.333, 0.667, 0.750)
Te (0.667, 0.333, 0.250)
O (0.010, 0.363, 0.861)
O (0.010, 0.647, 0.639)
O (0.353, 0.363, 0.639)
O (0.353, 0.990, 0.861)
O (0.363, 0.010, 0.361)
O (0.363, 0.353, 0.139)
O (0.637, 0.647, 0.861)
O (0.637, 0.990, 0.639)
O (0.647, 0.010, 0.139)
O (0.647, 0.637, 0.361)
O (0.990, 0.353, 0.361)
O (0.990, 0.637, 0.139)

Values from the calculation:
- V: 12.6 Å³ per atom

---

Version x
An optimized crystal structure of HoCrTeO6. Source: the Materials Project database, functional PBE+U.

Cell: 5.404 5.404 8.644 Å, 90.00 90.00 120.00°
Sites, in units of the cell vectors:
Ho (0.333, 0.667, 0.250)
Ho (0.667, 0.333, 0.750)
Cr (0.000, 0.000, 0.000)
Cr (0.000, 0.000, 0.500)
Te (0.333, 0.667, 0.750)
Te (0.667, 0.333, 0.250)
O (0.041, 0.353, 0.876)
O (0.041, 0.688, 0.624)
O (0.312, 0.353, 0.624)
O (0.312, 0.959, 0.876)
O (0.353, 0.041, 0.376)
O (0.353, 0.312, 0.124)
O (0.647, 0.688, 0.876)
O (0.647, 0.959, 0.624)
O (0.688, 0.041, 0.124)
O (0.688, 0.647, 0.376)
O (0.959, 0.312, 0.376)
O (0.959, 0.647, 0.124)

Values from the calculation:
- V: 12.1 Å³ per atom

---

Most stable one: version w, least stable one: version x.

---

Version w
An optimized crystal structure of Li3V3B2O10. Source: the Materials Project database, functional PBE+U.

Cell: 3.034 9.263 12.264 Å, 89.85 89.92 89.58°
Sites, in units of the cell vectors:
Li (0.000, 0.000, 0.000)
Li (0.000, 0.258, 0.902)
Li (0.501, 0.265, 0.405)
Li (0.501, 0.791, 0.896)
Li (0.502, 0.758, 0.613)
Li (0.999, 0.755, 0.411)
V (0.015, 0.014, 0.516)
V (0.497, 0.265, 0.686)
V (0.499, 0.258, 0.112)
V (0.500, 0.777, 0.183)
V (0.977, 0.533, 0.791)
V (0.999, 0.503, 0.294)
B (0.001, 0.498, 0.537)
B (0.002, 0.542, 0.040)
B (0.998, 0.047, 0.267)
B (0.999, 0.991, 0.759)
O (0.001, 0.133, 0.172)
O (0.001, 0.624, 0.139)
O (0.001, 0.921, 0.854)
O (0.005, 0.641, 0.543)
O (0.013, 0.608, 0.943)
O (0.489, 0.390, 0.822)
O (0.492, 0.901, 0.475)
O (0.499, 0.375, 0.243)
O (0.500, 0.651, 0.315)
O (0.500, 0.858, 0.059)
O (0.501, 0.164, 0.991)
O (0.504, 0.152, 0.553)
O (0.522, 0.646, 0.757)
O (0.997, 0.110, 0.365)
O (0.997, 0.148, 0.755)
O (0.997, 0.414, 0.639)
O (0.997, 0.923, 0.658)
O (0.998, 0.391, 0.053)
O (0.998, 0.415, 0.442)
O (0.998, 0.894, 0.252)

Values from the calculation:
- V: 9.6 Å³ per atom

---

Version x
An optimized crystal structure of Li3V3B2O10. Source: the Materials Project database, functional PBE+U.

Cell: 2.997 9.408 12.107 Å, 89.01 89.83 88.85°
Sites, in units of the cell vectors:
Li (0.000, 0.000, 0.000)
Li (0.000, 0.500, 0.500)
Li (0.001, 0.490, 0.209)
Li (0.500, 0.000, 0.500)
Li (0.500, 0.500, 0.000)
Li (0.999, 0.510, 0.791)
V (0.002, 0.997, 0.718)
V (0.476, 0.247, 0.889)
V (0.481, 0.266, 0.390)
V (0.519, 0.734, 0.610)
V (0.524, 0.753, 0.111)
V (0.998, 0.003, 0.282)
B (0.496, 0.731, 0.358)
B (0.496, 0.765, 0.868)
B (0.504, 0.235, 0.132)
B (0.504, 0.269, 0.642)
O (0.007, 0.888, 0.152)
O (0.010, 0.363, 0.924)
O (0.012, 0.877, 0.579)
O (0.016, 0.380, 0.356)
O (0.485, 0.660, 0.459)
O (0.493, 0.624, 0.861)
O (0.494, 0.660, 0.262)
O (0.497, 0.150, 0.237)
O (0.499, 0.847, 0.961)
O (0.499, 0.883, 0.356)
O (0.501, 0.117, 0.644)
O (0.501, 0.153, 0.039)
O (0.503, 0.850, 0.763)
O (0.506, 0.340, 0.738)
O (0.507, 0.376, 0.139)
O (0.515, 0.340, 0.541)
O (0.984, 0.620, 0.644)
O (0.988, 0.123, 0.421)
O (0.990, 0.637, 0.076)
O (0.993, 0.112, 0.848)

Values from the calculation:
- V: 9.5 Å³ per atom

---

Most stable one: version x, least stable one: version w.